[1]
The following is a DFT calculation (GGA-PBE) of a geometry-optimized FeCoAs structure.

a = 3.590 Å, b = 6.022 Å, c = 10.358 Å
α = 90.00°, β = 90.00°, γ = 90.00°
Positions (direct):
1 Fe 0.000 0.295 0.202
2 Fe 0.000 0.295 0.798
3 Fe 0.000 0.905 0.000
4 Fe 0.000 0.796 0.300
5 Fe 0.000 0.796 0.700
6 Fe 0.500 0.745 0.500
7 Co 0.500 0.626 0.129
8 Co 0.000 0.402 0.500
9 Co 0.500 0.245 0.000
10 Co 0.500 0.124 0.371
11 Co 0.500 0.124 0.629
12 Co 0.500 0.626 0.871
13 As 0.000 0.001 0.500
14 As 0.500 0.495 0.335
15 As 0.500 0.999 0.834
16 As 0.500 0.999 0.166
17 As 0.000 0.502 0.000
18 As 0.500 0.495 0.665


[2]
The following is a DFT calculation (GGA-PBE) of a geometry-optimized GdF3 structure.

a = 4.006 Å, b = 4.006 Å, c = 4.006 Å
α = 60.00°, β = 60.00°, γ = 60.00°
Positions (direct):
1 Gd 0.000 0.000 0.000
2 F 0.250 0.250 0.250
3 F 0.750 0.750 0.750
4 F 0.500 0.500 0.500


| no. | formation enthalpy at 0 K (meV per atom) | final energy (Ha/atom) |
| --- | --- | --- |
| 1 | -132 | -0.2528 |
| 2 | -4110 | -0.3204 |